First-principles (PBE with a Hubbard U) data for an optimized crystal structure of MgMn6O4F8, as listed in the Materials Project.

a = 5.2326 Å, b = 5.9688 Å, c = 7.9198 Å
α = 84.95°, β = 85.91°, γ = 84.54°
Closest atoms and distances in Å follow each position.
Space group P1 (No. 1)
Unique sites:
Mg1 0.0000 0.0000 0.0000 x1  3 F 1.99-2.13, 3 O 2.06-2.18
Mn1 0.0082 0.9816 0.5133 x1  2 O 2.14-2.23, 4 F 2.17-2.33
Mn2 0.1555 0.3420 0.1934 x1  3 O 1.93-1.99, 1 F 2.11
Mn3 0.4936 0.8323 0.1901 x1  2 O 1.87-1.96, 1 F 2.01
Mn4 0.5047 0.1261 0.8154 x1  2 O 2.10-2.26, 4 F 2.11-2.33
Mn5 0.5336 0.4886 0.4922 x1  1 O 2.03, 5 F 2.09-2.20
Mn6 0.9793 0.5958 0.8254 x1  2 O 2.08-2.11, 3 F 2.09-2.23
O1 0.1584 0.3071 0.9486 x1  2 Mn 1.97-2.08, 1 Mg 2.08
O2 0.1680 0.0084 0.2439 x1  2 Mn 1.96-1.99, 1 Mg 2.18
O3 0.3782 0.5505 0.2637 x1  3 Mn 1.87-2.03
O4 0.8616 0.9416 0.7720 x1  1 Mg 2.06, 3 Mn 2.10-2.14
F1 0.2010 0.6586 0.5987 x1  3 Mn 2.09-2.17
F2 0.3325 0.8281 0.9362 x1  1 Mg 1.99, 1 Mn 2.18
F3 0.3502 0.1775 0.5753 x1  3 Mn 2.11-2.33
F4 0.6482 0.1134 0.0883 x1  1 Mg 2.00, 1 Mn 2.01
F5 0.6771 0.4397 0.7364 x1  3 Mn 2.10-2.18
F6 0.6923 0.8126 0.4216 x1  3 Mn 2.16-2.21
F7 0.8483 0.6880 0.0864 x1  2 Mn 2.11-2.23, 1 Mg 2.13
F8 0.8860 0.3242 0.4049 x1  3 Mn 2.11-2.20

Computed properties:
**Formation energy**: -2618 meV per atom
**Total DFT energy (no corrections)**: -0.2417 Ha/atom
**Energy relative to the lowest polymorph listed for this composition**: 5.4 meV/atom